## Na2Pr2MgTi2O8 (GGA-PBE)

Data for crystalline Na2Pr2MgTi2O8 at its relaxed geometry.

E_form in eV per atom: -3.02
Offset from the most stable computed form in kJ per mole of atoms: 0.0
Symmetry: Cm, No. 8

Unit cell a=3.6876 b=3.6876 c=16.4586 alpha=94.93 beta=85.07 gamma=90.09
Closest atoms and distances in Å follow each position.
Element x y z (fractional)
Na  0.7195  0.7805  0.4150  4 O 2.34-2.61
Na  0.1698  0.3302  0.5432  1 O 2.31
Pr  0.8203  0.6797  0.1543  8 O 2.39-2.67
Pr  0.3973  0.1027  0.9783  2 O 2.30-2.56
O  0.6084  0.3920  0.7053  2 Ti 1.94, 2 Mg 2.14-2.15
O  0.6642  0.8358  0.5585  1 Ti 1.78
O  0.2266  0.2734  0.4016  1 Ti 1.78
O  0.3294  0.1706  0.1193  1 Pr 2.30
O  0.1080  0.8916  0.7053  2 Ti 1.94, 2 Mg 2.14-2.15
O  0.7809  0.2184  0.2578  2 Ti 1.93
O  0.2816  0.7191  0.2578  2 Ti 1.93
O  0.8684  0.6316  0.0079  4 Pr 2.39-2.65
Mg  0.0818  0.4182  0.7722  4 O 2.14-2.15
Ti  0.2676  0.2324  0.2926  5 O 1.78-1.93
Ti  0.6226  0.8774  0.6675  5 O 1.78-1.94

---

## Lu6Ta4Al43 (GGA-PBE)

Data for crystalline Lu6Ta4Al43 at its relaxed geometry.

E_form in eV per atom: -0.29
Symmetry: P6_3/mcm, No. 193

Unit cell a=11.1224 b=11.1224 c=17.6200 alpha=90.00 beta=90.00 gamma=120.00
Closest atoms and distances in Å follow each position.
Element x y z (fractional)
Al  0.5955  0.4457  0.2500  1 Ta 2.69, 7 Al 2.74-2.89
Al  0.8430  0.6049  0.1629  8 Al 2.73-3.06, 1 Ta 2.76, 1 Lu 3.05
Al  0.3333  0.6667  0.3739  9 Al 2.73-2.82
Al  0.3951  0.1570  0.6629  8 Al 2.73-3.06, 1 Ta 2.76, 1 Lu 3.05
Al  0.2470  0.7530  0.0000  8 Al 2.75-3.06
Al  0.8430  0.2381  0.6629  8 Al 2.73-3.06, 1 Ta 2.76, 1 Lu 3.05
Al  0.7430  0.7430  0.5304  9 Al 2.75-3.05, 1 Ta 2.91
Al  0.3333  0.6667  0.6261  9 Al 2.73-2.82
Al  0.4045  0.8502  0.2500  1 Ta 2.69, 7 Al 2.74-2.89
Al  0.5955  0.1498  0.7500  1 Ta 2.69, 7 Al 2.74-2.89
Al  0.0000  0.7430  0.4696  9 Al 2.75-3.05, 1 Ta 2.91
Al  0.8502  0.4457  0.7500  1 Ta 2.69, 7 Al 2.74-2.89
Al  0.1594  0.1594  0.8850  2 Ta 2.69-2.70, 7 Al 2.77-2.93
Al  0.6667  0.3333  0.1261  9 Al 2.73-2.82
Al  0.1474  0.0000  0.7500  2 Ta 2.65, 10 Al 2.84-2.93
Al  0.2570  0.2570  0.0304  9 Al 2.75-3.05, 1 Ta 2.91
Al  0.0000  0.1594  0.1150  2 Ta 2.69-2.70, 7 Al 2.77-2.93
Al  0.8430  0.6049  0.3371  8 Al 2.73-3.06, 1 Ta 2.76, 1 Lu 3.05
Al  0.4941  0.2470  0.0000  8 Al 2.75-3.06
Al  0.1498  0.5543  0.2500  1 Ta 2.69, 7 Al 2.74-2.89
Al  0.2570  0.0000  0.5304  9 Al 2.75-3.05, 1 Ta 2.91
Al  0.2570  0.2570  0.4696  9 Al 2.75-3.05, 1 Ta 2.91
Al  0.2381  0.8430  0.6629  8 Al 2.73-3.06, 1 Ta 2.76, 1 Lu 3.05
Al  0.5059  0.7530  0.5000  8 Al 2.75-3.06
Al  0.7619  0.1570  0.3371  8 Al 2.73-3.06, 1 Ta 2.76, 1 Lu 3.05
Al  0.1570  0.3951  0.6629  8 Al 2.73-3.06, 1 Ta 2.76, 1 Lu 3.05
Al  0.0000  0.8406  0.8850  2 Ta 2.69-2.70, 7 Al 2.77-2.93
Al  0.1570  0.7619  0.3371  8 Al 2.73-3.06, 1 Ta 2.76, 1 Lu 3.05
Al  0.3333  0.6667  0.1261  9 Al 2.73-2.82
Al  0.0000  0.8406  0.6150  2 Ta 2.69-2.70, 7 Al 2.77-2.93
Al  0.8406  0.8406  0.3850  2 Ta 2.69-2.70, 7 Al 2.77-2.93
Al  0.7530  0.5059  0.5000  8 Al 2.75-3.06
Al  0.1474  0.1474  0.2500  2 Ta 2.65, 10 Al 2.84-2.93
Al  0.0000  0.2570  0.5304  9 Al 2.75-3.05, 1 Ta 2.91
Al  0.2381  0.8430  0.8371  8 Al 2.73-3.06, 1 Ta 2.76, 1 Lu 3.05
Al  0.6049  0.7619  0.6629  8 Al 2.73-3.06, 1 Ta 2.76, 1 Lu 3.05
Al  0.1570  0.3951  0.8371  8 Al 2.73-3.06, 1 Ta 2.76, 1 Lu 3.05
Al  0.8406  0.8406  0.1150  2 Ta 2.69-2.70, 7 Al 2.77-2.93
Al  0.7430  0.0000  0.4696  9 Al 2.75-3.05, 1 Ta 2.91
Al  0.3951  0.1570  0.8371  8 Al 2.73-3.06, 1 Ta 2.76, 1 Lu 3.05
Al  0.0000  0.8526  0.2500  2 Ta 2.65, 10 Al 2.84-2.93
Al  0.0000  0.1474  0.7500  2 Ta 2.65, 10 Al 2.84-2.93
Al  0.2470  0.7530  0.5000  8 Al 2.75-3.06
Al  0.6049  0.7619  0.8371  8 Al 2.73-3.06, 1 Ta 2.76, 1 Lu 3.05
Al  0.5543  0.1498  0.2500  1 Ta 2.69, 7 Al 2.74-2.89
Al  0.6667  0.3333  0.3739  9 Al 2.73-2.82
Al  0.7430  0.0000  0.0304  9 Al 2.75-3.05, 1 Ta 2.91
Al  0.7619  0.6049  0.6629  8 Al 2.73-3.06, 1 Ta 2.76, 1 Lu 3.05
Al  0.1594  0.1594  0.6150  2 Ta 2.69-2.70, 7 Al 2.77-2.93
Al  0.4045  0.5543  0.7500  1 Ta 2.69, 7 Al 2.74-2.89
Al  0.0000  0.7430  0.0304  9 Al 2.75-3.05, 1 Ta 2.91
Al  0.6667  0.3333  0.8739  9 Al 2.73-2.82
Al  0.7619  0.6049  0.8371  8 Al 2.73-3.06, 1 Ta 2.76, 1 Lu 3.05
Al  0.7530  0.2470  0.0000  8 Al 2.75-3.06
Al  0.2570  0.0000  0.9696  9 Al 2.75-3.05, 1 Ta 2.91
Al  0.8526  0.0000  0.2500  2 Ta 2.65, 10 Al 2.84-2.93
Al  0.1594  0.0000  0.3850  2 Ta 2.69-2.70, 7 Al 2.77-2.93
Al  0.8406  0.0000  0.6150  2 Ta 2.69-2.70, 7 Al 2.77-2.93
Al  0.1570  0.7619  0.1629  8 Al 2.73-3.06, 1 Ta 2.76, 1 Lu 3.05
Al  0.1498  0.5955  0.7500  1 Ta 2.69, 7 Al 2.74-2.89
Al  0.6667  0.3333  0.6261  9 Al 2.73-2.82
Al  0.2470  0.4941  0.0000  8 Al 2.75-3.06
Al  0.2470  0.4941  0.5000  8 Al 2.75-3.06
Al  0.8406  0.0000  0.8850  2 Ta 2.69-2.70, 7 Al 2.77-2.93
Al  0.5059  0.7530  0.0000  8 Al 2.75-3.06
Al  0.2381  0.3951  0.3371  8 Al 2.73-3.06, 1 Ta 2.76, 1 Lu 3.05
Al  0.2381  0.3951  0.1629  8 Al 2.73-3.06, 1 Ta 2.76, 1 Lu 3.05
Al  0.1594  0.0000  0.1150  2 Ta 2.69-2.70, 7 Al 2.77-2.93
Al  0.7619  0.1570  0.1629  8 Al 2.73-3.06, 1 Ta 2.76, 1 Lu 3.05
Al  0.6049  0.8430  0.1629  8 Al 2.73-3.06, 1 Ta 2.76, 1 Lu 3.05
Al  0.6049  0.8430  0.3371  8 Al 2.73-3.06, 1 Ta 2.76, 1 Lu 3.05
Al  0.4457  0.5955  0.2500  1 Ta 2.69, 7 Al 2.74-2.89
Al  0.8526  0.8526  0.7500  2 Ta 2.65, 10 Al 2.84-2.93
Al  0.3951  0.2381  0.3371  8 Al 2.73-3.06, 1 Ta 2.76, 1 Lu 3.05
Al  0.7530  0.5059  0.0000  8 Al 2.75-3.06
Al  0.3951  0.2381  0.1629  8 Al 2.73-3.06, 1 Ta 2.76, 1 Lu 3.05
Al  0.3333  0.6667  0.8739  9 Al 2.73-2.82
Al  0.4941  0.2470  0.5000  8 Al 2.75-3.06
Al  0.4457  0.8502  0.7500  1 Ta 2.69, 7 Al 2.74-2.89
Al  0.0000  0.1594  0.3850  2 Ta 2.69-2.70, 7 Al 2.77-2.93
Al  0.8502  0.4045  0.2500  1 Ta 2.69, 7 Al 2.74-2.89
Al  0.7430  0.7430  0.9696  9 Al 2.75-3.05, 1 Ta 2.91
Al  0.0000  0.2570  0.9696  9 Al 2.75-3.05, 1 Ta 2.91
Al  0.8430  0.2381  0.8371  8 Al 2.73-3.06, 1 Ta 2.76, 1 Lu 3.05
Al  0.5543  0.4045  0.7500  1 Ta 2.69, 7 Al 2.74-2.89
Al  0.7530  0.2470  0.5000  8 Al 2.75-3.06
Lu  0.5307  0.0000  0.5964  12 Al 3.05-3.35
Lu  0.0000  0.4693  0.4036  12 Al 3.05-3.35
Lu  0.4693  0.0000  0.0964  12 Al 3.05-3.35
Lu  0.0000  0.4693  0.0964  12 Al 3.05-3.35
Lu  0.0000  0.5307  0.9036  12 Al 3.05-3.35
Lu  0.4693  0.0000  0.4036  12 Al 3.05-3.35
Lu  0.5307  0.5307  0.4036  12 Al 3.05-3.35
Lu  0.5307  0.0000  0.9036  12 Al 3.05-3.35
Lu  0.4693  0.4693  0.9036  12 Al 3.05-3.35
Lu  0.5307  0.5307  0.0964  12 Al 3.05-3.35
Lu  0.4693  0.4693  0.5964  12 Al 3.05-3.35
Lu  0.0000  0.5307  0.5964  12 Al 3.05-3.35
Ta  0.0000  0.7251  0.7500  10 Al 2.65-2.76
Ta  0.7251  0.0000  0.7500  10 Al 2.65-2.76
Ta  0.0000  0.0000  0.5000  12 Al 2.69-2.91
Ta  0.2749  0.0000  0.2500  10 Al 2.65-2.76
Ta  0.2749  0.2749  0.7500  10 Al 2.65-2.76
Ta  0.7251  0.7251  0.2500  10 Al 2.65-2.76
Ta  0.0000  0.2749  0.2500  10 Al 2.65-2.76
Ta  0.0000  0.0000  0.0000  12 Al 2.69-2.91

---

## Os5C15SO15 (GGA-PBE)

Data for crystalline Os5C15SO15 at its relaxed geometry.

E_form in eV per atom: -0.93
Symmetry: Pna2_1, No. 33

Unit cell a=7.7236 b=16.3148 c=19.1669 alpha=90.00 beta=90.00 gamma=90.00
Closest atoms and distances in Å follow each position.
Element x y z (fractional)
O  0.3993  0.9630  0.7020  1 C 1.16
O  0.6982  0.5123  0.0737  1 C 1.16
O  0.6557  0.0934  0.9840  1 C 1.16
O  0.7730  0.8557  0.6657  1 C 1.16
O  0.5455  0.0102  0.1878  1 C 1.16
O  0.5601  0.3884  0.7082  1 C 1.17
O  0.9545  0.0102  0.6878  1 C 1.16
O  0.8070  0.3996  0.4348  1 C 1.16
O  0.2270  0.3557  0.3343  1 C 1.16
O  0.6520  0.9404  0.5133  1 C 1.16
O  0.7345  0.5954  0.7067  1 C 1.16
O  0.0601  0.8884  0.7918  1 C 1.17
O  0.0937  0.0766  0.0530  1 C 1.16
O  0.0628  0.7589  0.0028  1 C 1.17
O  0.1766  0.5314  0.1578  1 C 1.16
O  0.9372  0.2589  0.9972  1 C 1.17
O  0.2345  0.0954  0.7933  1 C 1.16
O  0.3234  0.5314  0.6578  1 C 1.16
O  0.7655  0.5954  0.2067  1 C 1.16
O  0.8480  0.9404  0.0133  1 C 1.16
O  0.1930  0.8996  0.5652  1 C 1.16
O  0.8018  0.5123  0.5737  1 C 1.16
O  0.5628  0.2589  0.4972  1 C 1.17
O  0.1950  0.1964  0.4144  1 C 1.16
O  0.4372  0.7589  0.5028  1 C 1.17
O  0.1520  0.4404  0.9867  1 C 1.16
O  0.1557  0.5934  0.5160  1 C 1.16
O  0.2730  0.3557  0.8343  1 C 1.16
O  0.9399  0.3884  0.2082  1 C 1.17
O  0.6766  0.0314  0.3422  1 C 1.16
O  0.0455  0.5102  0.3122  1 C 1.16
O  0.3966  0.6189  0.3099  1 C 1.17
O  0.4399  0.8884  0.2918  1 C 1.17
O  0.8050  0.6964  0.5856  1 C 1.16
O  0.9063  0.5766  0.9470  1 C 1.16
O  0.2655  0.0954  0.2933  1 C 1.16
O  0.7270  0.8557  0.1657  1 C 1.16
O  0.6950  0.6964  0.0856  1 C 1.16
O  0.7461  0.2294  0.8330  1 C 1.17
O  0.8234  0.0314  0.8422  1 C 1.16
O  0.6034  0.1189  0.6901  1 C 1.17
O  0.8993  0.4630  0.7980  1 C 1.16
O  0.8443  0.0934  0.4840  1 C 1.16
O  0.7539  0.2294  0.3330  1 C 1.17
O  0.8966  0.1189  0.1901  1 C 1.17
O  0.2461  0.7294  0.6670  1 C 1.17
O  0.1982  0.0123  0.4263  1 C 1.16
O  0.4063  0.0766  0.5530  1 C 1.16
O  0.5937  0.5766  0.4470  1 C 1.16
O  0.3070  0.8996  0.0652  1 C 1.16
O  0.3443  0.5934  0.0160  1 C 1.16
O  0.4545  0.5102  0.8122  1 C 1.16
O  0.1034  0.6189  0.8099  1 C 1.17
O  0.3480  0.4404  0.4867  1 C 1.16
O  0.6930  0.3996  0.9348  1 C 1.16
O  0.1007  0.9630  0.2020  1 C 1.16
O  0.6007  0.4630  0.2980  1 C 1.16
O  0.2539  0.7294  0.1670  1 C 1.17
O  0.3018  0.0123  0.9263  1 C 1.16
O  0.3050  0.1964  0.9144  1 C 1.16
C  0.4967  0.0678  0.1582  1 O 1.16
C  0.7198  0.9799  0.8418  1 O 1.16
C  0.7793  0.6065  0.9274  1 O 1.16
C  0.2793  0.1065  0.5726  1 O 1.16
C  0.6461  0.7405  0.0421  1 O 1.16
C  0.1072  0.9687  0.3950  1 O 1.16
C  0.0947  0.8648  0.5301  1 O 1.16
C  0.5448  0.4372  0.2461  1 O 1.16
C  0.8539  0.7405  0.5421  1 O 1.16
C  0.7802  0.9799  0.3418  1 O 1.16
C  0.2198  0.4799  0.6582  1 O 1.16
C  0.5699  0.1196  0.0286  1 O 1.16
C  0.2565  0.3924  0.0011  1 O 1.16
C  0.8337  0.6528  0.2293  1 O 1.16
C  0.2207  0.1065  0.0726  1 O 1.16
C  0.3223  0.6747  0.3334  1 O 1.17
C  0.1508  0.8448  0.8233  1 O 1.17
C  0.4301  0.6196  0.9714  1 O 1.16
C  0.4053  0.8648  0.0301  1 O 1.16
C  0.7207  0.6065  0.4274  1 O 1.16
C  0.0448  0.9372  0.2539  1 O 1.16
C  0.6777  0.1747  0.6666  1 O 1.17
C  0.1538  0.7645  0.9543  1 O 1.17
C  0.5947  0.3648  0.9699  1 O 1.16
C  0.3928  0.9687  0.8950  1 O 1.16
C  0.9053  0.3648  0.4699  1 O 1.16
C  0.6538  0.2645  0.5457  1 O 1.17
C  0.4552  0.9372  0.7539  1 O 1.16
C  0.7565  0.8924  0.4989  1 O 1.16
C  0.3539  0.2405  0.9579  1 O 1.16
C  0.3097  0.3145  0.2976  1 O 1.16
C  0.3337  0.1528  0.2707  1 O 1.16
C  0.9967  0.5678  0.3418  1 O 1.16
C  0.6376  0.2372  0.2949  1 O 1.17
C  0.2435  0.3924  0.5011  1 O 1.16
C  0.5033  0.5678  0.8418  1 O 1.16
C  0.1777  0.6747  0.8334  1 O 1.17
C  0.1461  0.2405  0.4579  1 O 1.16
C  0.1376  0.7372  0.2051  1 O 1.17
C  0.2802  0.4799  0.1582  1 O 1.16
C  0.1663  0.1528  0.7707  1 O 1.16
C  0.8097  0.8145  0.2024  1 O 1.16
C  0.8223  0.1747  0.1666  1 O 1.17
C  0.0699  0.6196  0.4714  1 O 1.16
C  0.6508  0.3448  0.6767  1 O 1.17
C  0.7435  0.8924  0.9989  1 O 1.16
C  0.3462  0.7645  0.4543  1 O 1.17
C  0.1903  0.3145  0.7976  1 O 1.16
C  0.0033  0.0678  0.6582  1 O 1.16
C  0.9552  0.4372  0.7461  1 O 1.16
C  0.6663  0.6528  0.7293  1 O 1.16
C  0.6072  0.4687  0.1050  1 O 1.16
C  0.9301  0.1196  0.5286  1 O 1.16
C  0.3624  0.7372  0.7051  1 O 1.17
C  0.3492  0.8448  0.3233  1 O 1.17
C  0.8462  0.2645  0.0457  1 O 1.17
C  0.8928  0.4687  0.6050  1 O 1.16
C  0.6903  0.8145  0.7024  1 O 1.16
C  0.8492  0.3448  0.1767  1 O 1.17
C  0.8624  0.2372  0.7949  1 O 1.17
Os  0.5379  0.8999  0.8418  3 C 1.89-1.92
Os  0.2915  0.7681  0.8719  3 C 1.90-1.91
Os  0.9621  0.8999  0.3418  3 C 1.89-1.92
Os  0.4621  0.3999  0.1582  3 C 1.89-1.92
Os  0.7915  0.2681  0.6281  3 C 1.90-1.91
Os  0.9314  0.6586  0.3973  3 C 1.89-1.92
Os  0.0721  0.3141  0.5285  3 C 1.90-1.91
Os  0.0379  0.3999  0.6582  3 C 1.89-1.92
Os  0.7085  0.2681  0.1281  3 C 1.90-1.91
Os  0.0576  0.2489  0.7350  3 C 1.90-1.91
Os  0.5721  0.8141  0.9715  3 C 1.90-1.91
Os  0.4314  0.1586  0.1027  3 C 1.89-1.92
Os  0.4424  0.2489  0.2350  3 C 1.90-1.91
Os  0.0686  0.1586  0.6027  3 C 1.89-1.92
Os  0.5576  0.7489  0.7650  3 C 1.90-1.91
Os  0.9279  0.8141  0.4715  3 C 1.90-1.91
Os  0.4279  0.3141  0.0285  3 C 1.90-1.91
Os  0.9424  0.7489  0.2650  3 C 1.90-1.91
Os  0.2085  0.7681  0.3719  3 C 1.90-1.91
Os  0.5686  0.6586  0.8973  3 C 1.89-1.92
S  0.7602  0.7829  0.3658  4 Os 2.45-2.51
S  0.2602  0.2829  0.1342  4 Os 2.45-2.51
S  0.7398  0.7829  0.8658  4 Os 2.45-2.51
S  0.2398  0.2829  0.6342  4 Os 2.45-2.51

---

## YMg14Nb (GGA-PBE)

Data for crystalline YMg14Nb at its relaxed geometry.

E_form in eV per atom: 0.09
Offset from the most stable computed form in kJ per mole of atoms: 2.1
Symmetry: P-6m2, No. 187

Unit cell a=6.4917 b=6.4917 c=10.0760 alpha=90.00 beta=90.00 gamma=120.00
Closest atoms and distances in Å follow each position.
Element x y z (fractional)
Mg  0.8381  0.1690  0.8648  1 Nb 3.04, 10 Mg 3.07-3.29, 1 Y 3.21
Mg  0.6670  0.3340  0.6250  10 Mg 3.07-3.25, 2 Nb 3.25
Mg  0.8333  0.6667  0.3710  12 Mg 3.13-3.25
Mg  0.3310  0.1690  0.8648  1 Nb 3.04, 10 Mg 3.07-3.29, 1 Y 3.21
Mg  0.3310  0.1690  0.3852  1 Nb 3.04, 10 Mg 3.07-3.29, 1 Y 3.21
Mg  0.8381  0.1690  0.3852  1 Nb 3.04, 10 Mg 3.07-3.29, 1 Y 3.21
Mg  0.6670  0.8330  0.6250  10 Mg 3.07-3.25, 2 Nb 3.25
Mg  0.1741  0.8371  0.1250  10 Mg 3.13-3.32, 2 Y 3.25
Mg  0.8333  0.6667  0.8790  12 Mg 3.13-3.25
Mg  0.3310  0.6619  0.8648  1 Nb 3.04, 10 Mg 3.07-3.29, 1 Y 3.21
Mg  0.3310  0.6619  0.3852  1 Nb 3.04, 10 Mg 3.07-3.29, 1 Y 3.21
Mg  0.6629  0.8371  0.1250  10 Mg 3.13-3.32, 2 Y 3.25
Mg  0.6629  0.3259  0.1250  10 Mg 3.13-3.32, 2 Y 3.25
Mg  0.1660  0.8330  0.6250  10 Mg 3.07-3.25, 2 Nb 3.25
Y  0.1667  0.3333  0.1250  12 Mg 3.21-3.25
Nb  0.1667  0.3333  0.6250  12 Mg 3.04-3.25

---

## UAl7Cu5 (GGA-PBE)

Data for crystalline UAl7Cu5 at its relaxed geometry.

E_form in eV per atom: -0.22
Symmetry: Imm2, No. 44

Unit cell a=5.1047 b=6.6642 c=6.6642 alpha=97.93 beta=112.52 gamma=67.48
Closest atoms and distances in Å follow each position.
Element x y z (fractional)
Al  0.5064  0.7841  0.7968  5 Cu 2.51-2.62, 1 Al 2.70
Al  0.5064  0.2032  0.2159  5 Cu 2.51-2.62, 1 Al 2.70
Al  0.3453  0.6547  0.3453  3 Al 2.65-2.90, 6 Cu 2.67-2.76
Al  0.9929  0.3541  0.3400  5 Cu 2.60-2.70, 4 Al 2.68-2.82
Al  0.9929  0.6600  0.6459  5 Cu 2.60-2.70, 4 Al 2.68-2.82
Al  0.2774  0.2226  0.7774  4 Cu 2.53, 6 Al 2.70-2.80
Al  0.6513  0.3487  0.6513  5 Al 2.65-2.83, 4 Cu 2.67
Cu  0.0029  0.4974  0.9996  7 Al 2.51-2.70, 3 Cu 2.53-2.57
Cu  0.7231  0.7769  0.2231  4 Cu 2.56, 6 Al 2.62-2.76
Cu  0.0029  0.0004  0.5026  7 Al 2.51-2.70, 3 Cu 2.53-2.57
Cu  0.4993  0.0004  0.5026  7 Al 2.51-2.70, 3 Cu 2.53-2.57
Cu  0.4993  0.4974  0.9996  7 Al 2.51-2.70, 3 Cu 2.53-2.57
U  0.9999  0.0001  0.9999  10 Al 2.99-3.20, 10 Cu 3.20-3.34

---

- Which of these has the highest E_form?
  YMg14Nb